[1]
Here is an optimized crystal structure of Li3FePCO7 from the Materials Project. Energies are from GGA+U.

Cell and atoms, written as extended XYZ:
```
52
Lattice="-1.538 8.232 -0.170 -7.486 -1.489 -3.464 -4.993 -0.782 6.708" Properties=species:S:1:pos:R:3 pbc="T T T"
O -10.242 -0.468 -0.117
O -6.819 0.651 0.630
O -8.455 4.900 -2.727
O -6.934 2.666 1.601
O -4.862 6.429 -1.015
O -4.284 -0.691 1.194
O -5.382 4.389 3.854
O -4.123 5.571 1.245
O -8.966 3.607 -0.634
O -4.003 0.669 -1.738
O -6.628 4.036 -1.233
O -8.180 2.311 -3.486
O -10.290 1.475 1.040
O -1.946 -0.268 0.590
O -3.365 2.916 2.322
O -8.101 6.069 -0.512
O -9.605 1.781 3.944
O -10.525 -1.827 2.813
O -4.050 2.612 -0.581
O -11.102 5.292 0.606
O -7.540 0.514 -2.275
O -10.362 4.437 2.867
O -7.721 3.962 4.451
O -6.295 0.868 2.812
O -6.853 6.423 4.574
O -8.187 -1.403 2.209
O -5.574 1.003 5.717
O -7.207 5.255 2.359
P -4.555 6.835 0.459
P -8.036 4.699 -1.237
P -10.795 5.700 2.079
P -6.789 5.054 3.849
C -7.927 1.050 -3.392
C -4.216 1.940 -1.678
C -10.456 0.803 -0.057
C -6.681 1.405 1.695
Fe -9.004 6.724 -3.565
Fe -4.704 4.494 -1.766
Fe -10.943 3.356 -0.142
Fe -7.756 7.081 1.523
Li -2.258 4.752 0.686
Li -3.872 -0.394 4.127
Li -3.410 1.338 1.023
Li -11.876 3.001 3.189
Li -5.120 -0.747 -0.958
Li -9.649 0.202 2.645
Li -7.253 -1.014 5.009
Li -8.499 -1.370 -0.079
Li -8.497 3.619 2.307
Li -5.636 4.136 1.567
Li -6.177 2.376 4.341
Li -7.423 2.022 -0.746
```

Results
The MP2020-corrected energy comes out at -7.192 eV/atom. The formation energy is -2310 meV/atom. The polymorph energy (0 for the lowest one) is 0.035 eV per atom. Its size of the total moment is 0.0 μB per cell.

---

[2]
Here is an optimized crystal structure of CaNdCoO4 from the Materials Project. Energies are from GGA+U.

Cell and atoms, written as extended XYZ:
```
7
Lattice="2.492 -5.941 1.598 1.113 -2.978 5.827 -4.259 3.411 -3.779" Properties=species:S:1:pos:R:3 pbc="T T T"
O 2.994 -7.409 6.168
O 0.617 -1.528 1.272
O 0.217 -4.214 4.712
O 0.907 -5.695 2.598
Co 0.018 -0.044 0.036
Ca 2.311 -5.718 4.760
Nd 1.293 -3.198 2.663
```

Results
The MP2020-corrected energy comes out at -7.539 eV/atom. The formation energy is -2728 meV/atom. The polymorph energy (0 for the lowest one) is 0.000 eV per atom. Its size of the total moment is 0.0 μB per cell. Its crystal system is tetragonal.

---

[3]
Here is an optimized crystal structure of Fe5O7F3 from the Materials Project. Energies are from GGA+U.

Cell and atoms, written as extended XYZ:
```
30
Lattice="4.648 0.000 0.000 0.000 4.648 0.000 0.000 0.000 15.287" Properties=species:S:1:pos:R:3 pbc="T T T"
O 3.280 2.079 6.166
O 0.956 2.569 1.478
O 3.141 2.020 12.224
O 0.817 2.628 10.708
O 3.141 2.020 3.064
O 0.817 2.628 4.580
O 3.840 4.337 7.644
O 3.280 2.079 9.122
O 1.437 0.239 6.136
O 3.761 4.409 13.780
O 0.956 2.569 13.809
O 1.516 0.311 0.000
O 1.437 0.239 9.152
O 3.761 4.409 1.508
F 3.305 2.112 0.000
F 3.671 4.420 10.751
F 1.347 0.229 3.108
F 1.347 0.229 12.180
F 0.981 2.536 7.644
F 3.671 4.420 4.536
Fe 2.343 1.146 1.544
Fe 0.120 3.597 0.000
Fe 4.575 3.334 2.959
Fe 2.343 1.146 13.744
Fe 2.251 1.314 10.602
Fe 2.444 1.052 7.644
Fe 0.019 3.503 6.100
Fe 2.251 1.314 4.685
Fe 4.575 3.334 12.329
Fe 0.019 3.503 9.187
```

Results
The MP2020-corrected energy comes out at -7.238 eV/atom. The formation energy is -1723 meV/atom. The polymorph energy (0 for the lowest one) is 0.029 eV per atom. Its size of the total moment is 46.0 μB per cell. Its crystal system is orthorhombic.

---

[4]
Here is an optimized crystal structure of V2CuH6N2O6 from the Materials Project. Energies are from GGA+U.

Cell and atoms, written as extended XYZ:
```
34
Lattice="5.714 0.000 0.000 0.000 5.646 0.000 0.000 0.274 11.601" Properties=species:S:1:pos:R:3 pbc="T T T"
O 3.789 5.348 0.439
O 5.047 0.313 7.139
O 0.667 0.176 1.339
O 1.925 5.485 6.240
O 5.318 4.404 4.804
O 5.025 2.966 2.401
O 1.911 3.399 3.327
O 0.396 4.541 10.604
O 0.177 1.580 4.740
O 0.688 3.103 8.202
O 5.537 1.717 10.540
O 3.802 3.536 9.128
H 3.407 0.747 9.238
H 1.520 2.636 0.517
H 1.916 1.063 8.583
H 3.007 1.981 0.786
H 2.819 3.412 11.226
H 2.065 5.567 9.775
H 2.307 0.610 3.437
H 2.895 3.275 5.425
H 4.194 2.773 6.318
H 2.707 2.118 6.587
H 3.649 5.430 3.974
H 3.798 0.926 2.783
Cu 2.863 4.342 1.862
Cu 2.851 4.479 7.663
V 0.288 5.766 5.808
V 5.438 3.223 9.542
V 5.426 5.629 0.007
V 0.276 3.086 3.741
N 3.192 0.185 3.149
N 2.522 0.322 8.950
N 2.519 2.854 0.564
N 3.195 2.991 6.365
```

Results
The MP2020-corrected energy comes out at -6.507 eV/atom. The formation energy is -1273 meV/atom. Its size of the total moment is 2.0 μB per cell. Its crystal system is monoclinic.

---

[5]
Here is an optimized crystal structure of Fe5O7F3 from the Materials Project. Energies are from GGA+U.

Cell and atoms, written as extended XYZ:
```
30
Lattice="-3.820 -0.619 -2.592 -1.910 -2.531 3.420 -6.090 12.594 5.968" Properties=species:S:1:pos:R:3 pbc="T T T"
F -7.257 2.839 4.118
F -2.424 -0.981 1.422
F -4.218 6.661 2.912
F -9.663 10.382 5.192
F -5.413 9.168 4.103
F -6.036 0.336 2.945
Fe -2.117 2.462 2.375
Fe -5.663 10.067 5.941
Fe -8.204 6.909 2.229
Fe -6.724 4.857 4.456
Fe -9.075 9.596 7.070
Fe -4.248 -0.313 2.150
Fe -5.383 2.249 3.368
Fe -3.286 4.881 3.568
Fe -7.937 7.269 5.620
Fe -4.498 -0.436 -1.464
O -7.382 9.078 6.175
O -5.053 4.080 3.803
O -6.194 6.661 4.947
O -4.651 -2.139 1.749
O -6.566 11.681 5.456
O -3.797 1.484 2.596
O -3.019 4.110 1.777
O -4.843 0.300 0.346
O -6.081 2.710 1.540
O -8.528 7.878 3.857
O -1.790 1.685 0.591
O -8.435 5.394 5.267
O -9.622 7.825 6.482
O -7.294 5.279 2.635
```

Results
The MP2020-corrected energy comes out at -7.238 eV/atom. The formation energy is -1723 meV/atom. The polymorph energy (0 for the lowest one) is 0.029 eV per atom. Its size of the total moment is 46.0 μB per cell. Its crystal system is monoclinic.

---

[6]
Here is an optimized crystal structure of Li2MnSiO4 from the Materials Project. Energies are from GGA+U.

Cell and atoms, written as extended XYZ:
```
32
Lattice="-5.534 -3.195 8.966 3.119 -4.052 0.482 6.968 -0.504 4.122" Properties=species:S:1:pos:R:3 pbc="T T T"
Li 2.569 -2.597 5.247
Li 0.331 -4.124 6.476
Li 1.984 -5.153 8.323
Li 2.702 -2.240 1.851
Li 4.223 -3.626 7.094
Li 1.851 -5.510 11.719
Li -2.487 -5.471 7.862
Li 7.041 -2.279 5.708
O 2.961 -7.216 12.053
O -3.580 -3.776 7.841
O 1.651 -5.708 6.469
O 3.412 -1.512 3.725
O 3.621 -4.316 5.334
O 0.933 -3.434 8.235
O 5.627 -5.912 10.283
O -1.073 -1.838 3.286
O 0.682 -2.964 4.964
O 3.872 -4.786 8.605
O 5.983 -2.167 4.081
O 2.902 -2.042 7.101
O -1.429 -5.583 9.488
O 8.134 -3.973 5.728
O 1.141 -6.238 9.845
O 1.593 -0.534 1.516
Si 4.946 -0.889 3.904
Si -0.349 -1.683 4.777
Si -0.392 -6.861 9.665
Si 4.903 -6.067 8.792
Mn 0.667 -4.318 3.405
Mn 5.094 -4.026 3.938
Mn -0.540 -3.724 9.632
Mn 3.887 -3.432 10.164
```

Results
The MP2020-corrected energy comes out at -7.456 eV/atom. The formation energy is -2681 meV/atom. The polymorph energy (0 for the lowest one) is 0.009 eV per atom. Its size of the total moment is 20.0 μB per cell. Its crystal system is monoclinic.

---

[7]
Here is an optimized crystal structure of Li8CoNi9O20 from the Materials Project. Energies are from GGA+U.

Cell and atoms, written as extended XYZ:
```
76
Lattice="-1.630 -2.255 0.426 9.100 -5.767 4.297 -2.541 5.691 20.395" Properties=species:S:1:pos:R:3 pbc="T T T"
Li 4.690 -2.622 13.364
Li 0.342 1.417 8.809
Li 1.673 1.375 13.677
Li 0.190 0.273 11.471
Li -1.745 3.132 19.196
Li 3.452 -2.571 8.900
Li 2.081 -2.589 3.558
Li 2.833 0.264 21.532
Li 6.222 -1.510 15.811
Li -1.115 0.293 6.580
Li 6.629 -5.463 5.747
Li 3.552 -1.431 6.014
Li 6.126 -2.640 18.760
Li 8.178 -4.363 8.193
Li 1.507 0.257 16.423
Li 2.961 1.395 18.711
Ni 2.492 -1.190 12.531
Ni -2.075 1.710 10.409
Ni 3.927 -0.036 14.834
Ni -0.102 -1.188 2.622
Ni 3.753 -1.157 17.536
Ni 2.586 -0.003 9.878
Ni 5.207 -0.031 19.756
Ni 1.141 -1.141 7.626
Ni 5.074 -1.186 22.436
Ni 7.211 -2.942 12.018
Ni 0.495 1.726 20.326
Ni 4.436 -4.060 4.783
Ni 0.721 2.808 17.618
Ni -0.805 1.737 15.409
Ni -0.603 2.832 12.682
Ni 5.878 -2.912 7.079
Ni 1.303 -0.011 4.928
Ni 5.691 -4.024 9.774
O 2.269 0.603 11.870
O -1.064 2.298 17.392
O 2.385 2.198 20.758
O 1.034 2.236 15.788
O 5.561 -0.630 17.940
O 4.134 -1.802 15.576
O 5.534 -2.322 8.880
O 0.925 1.031 18.293
O 6.064 -4.677 7.747
O 5.416 -3.457 11.725
O 3.551 0.615 16.836
O 2.757 -1.755 10.559
O 4.730 -4.641 2.832
O 2.978 -0.663 7.886
O 1.516 -1.788 5.635
O 0.752 -0.488 9.596
O 0.329 3.415 19.331
O -0.246 2.200 10.701
O 0.942 0.625 6.914
O 8.795 -5.199 6.134
O 4.883 0.532 21.496
O -2.208 5.116 18.627
O 6.253 -3.509 5.351
O 1.671 -0.635 3.030
O 4.171 -2.276 3.913
O -0.384 1.050 13.389
O 4.281 -0.654 12.917
O 6.649 -3.402 16.730
O 4.761 -0.582 24.433
O 7.542 -3.564 9.992
O 3.379 -0.512 19.512
O 0.215 2.296 22.274
O 5.363 -1.779 20.401
O -0.960 3.453 14.601
O 6.821 -2.282 14.018
O -1.684 1.053 8.430
O 4.051 -3.393 6.841
O 2.078 -0.502 14.592
O -2.375 3.937 21.050
O -0.544 -0.483 4.661
Co 2.016 2.802 22.543
Co -2.539 5.687 20.383
```

Results
The MP2020-corrected energy comes out at -5.962 eV/atom. The formation energy is -1400 meV/atom. The polymorph energy (0 for the lowest one) is 0.000 eV per atom. Its size of the total moment is 18.0 μB per cell. Its crystal system is monoclinic.

---

[8]
Here is an optimized crystal structure of Cr3O2F2 from the Materials Project. Energies are from GGA+U.

Cell and atoms, written as extended XYZ:
```
14
Lattice="1.203 2.976 4.580 -5.424 -2.594 -0.213 2.430 -5.313 2.814" Properties=species:S:1:pos:R:3 pbc="T T T"
F -3.054 -0.710 3.074
F 1.223 -1.332 5.664
F 1.263 -4.222 4.117
F -3.019 -3.591 1.522
Cr -0.499 -2.460 5.028
Cr -1.322 0.415 3.698
Cr -0.461 -5.346 3.479
Cr -1.285 -2.468 2.148
Cr 3.619 -2.327 7.380
Cr 1.817 -1.191 3.700
O -0.181 -1.255 3.363
O -0.405 -3.499 6.801
O -1.381 -1.435 0.380
O -1.608 -3.672 3.815
```

Results
The MP2020-corrected energy comes out at -8.352 eV/atom. The formation energy is -2254 meV/atom. The polymorph energy (0 for the lowest one) is 0.000 eV per atom. Its size of the total moment is 8.0 μB per cell. Its crystal system is monoclinic.

---

[9]
Here is an optimized crystal structure of Sr3La7Mn8Fe2O30 from the Materials Project. Energies are from GGA+U.

Cell and atoms, written as extended XYZ:
```
50
Lattice="5.538 0.000 0.000 2.681 9.263 0.000 2.591 2.465 11.867" Properties=species:S:1:pos:R:3 pbc="T T T"
Mn 2.690 4.191 2.371
Mn 5.325 10.074 8.319
Mn 5.470 1.669 3.556
Mn 8.107 7.544 9.507
Mn 5.278 11.724 11.862
Mn 5.454 6.739 1.174
Mn 5.356 4.987 10.692
Mn 5.414 3.328 7.127
O 6.970 7.194 5.069
O 7.033 7.735 0.506
O 4.118 6.319 9.818
O 4.211 1.829 7.558
O 6.612 4.846 6.663
O 5.501 0.527 1.918
O 5.375 3.959 9.014
O 1.472 2.647 2.824
O 8.079 8.115 11.393
O 2.730 3.695 0.471
O 3.926 5.717 1.924
O 5.458 2.795 5.196
O 9.359 8.967 9.004
O 6.687 5.479 2.078
O 2.664 4.792 4.230
O 3.801 9.563 4.409
O 4.244 2.945 2.757
O 3.847 3.928 11.382
O 4.198 8.031 0.390
O 4.226 6.854 5.206
O 3.875 4.570 6.839
O 6.879 6.019 9.899
O 6.650 9.854 4.241
O 5.307 11.181 9.935
O 6.584 3.684 11.556
O 6.918 2.143 7.479
O 5.359 8.949 6.679
O 8.130 7.014 7.591
O 6.540 8.686 9.156
O 5.433 7.864 2.792
La 8.138 9.272 6.543
La 5.370 6.694 7.745
La 2.735 0.849 1.765
La 5.311 8.359 11.284
La 8.180 7.563 2.968
La 2.615 4.136 8.914
La 5.423 4.997 4.141
Fe 5.403 8.409 4.747
Fe 2.639 5.852 5.926
Sr 5.499 3.361 0.595
Sr 8.070 10.911 10.087
Sr 2.685 2.502 5.317
```

Results
The MP2020-corrected energy comes out at -8.396 eV/atom. The formation energy is -2830 meV/atom. Its size of the total moment is 39.0 μB per cell. Its crystal system is triclinic.

---

[10]
Here is an optimized crystal structure of InFe2O4 from the Materials Project. Energies are from GGA+U.

Cell and atoms, written as extended XYZ:
```
7
Lattice="-8.197 -1.351 1.872 -6.938 -4.571 1.868 -6.621 -2.594 4.686" Properties=species:S:1:pos:R:3 pbc="T T T"
O -6.322 -2.475 2.448
O -2.833 -1.109 1.097
O -18.953 -7.420 7.341
O -15.394 -6.026 5.962
Fe -4.595 -1.799 1.780
Fe -17.126 -6.704 6.633
In -0.047 -0.019 0.018
```

Results
The MP2020-corrected energy comes out at -7.262 eV/atom. The formation energy is -1622 meV/atom. The polymorph energy (0 for the lowest one) is 0.032 eV per atom. Its size of the total moment is 9.0 μB per cell. Its crystal system is trigonal.

---

[11]
Here is an optimized crystal structure of Li2VCrO4 from the Materials Project. Energies are from GGA+U.

Cell and atoms, written as extended XYZ:
```
8
Lattice="2.305 1.634 -0.908 -1.065 1.508 -4.836 -2.627 4.293 1.062" Properties=species:S:1:pos:R:3 pbc="T T T"
O 0.235 1.516 -1.522
O -1.461 2.956 -3.237
O -1.607 5.890 -3.174
O 0.059 4.509 -1.431
Li -1.241 4.502 -4.742
Li -0.307 5.897 0.137
V 0.539 3.053 -2.834
Cr -1.927 4.383 -1.849
```

Results
The MP2020-corrected energy comes out at -7.742 eV/atom. The formation energy is -2449 meV/atom. The polymorph energy (0 for the lowest one) is 0.000 eV per atom. Its size of the total moment is 1.0 μB per cell. Its crystal system is monoclinic.

---

Copy entry 10 word for word.
Here is an optimized crystal structure of InFe2O4 from the Materials Project. Energies are from GGA+U.

Cell and atoms, written as extended XYZ:
```
7
Lattice="-8.197 -1.351 1.872 -6.938 -4.571 1.868 -6.621 -2.594 4.686" Properties=species:S:1:pos:R:3 pbc="T T T"
O -6.322 -2.475 2.448
O -2.833 -1.109 1.097
O -18.953 -7.420 7.341
O -15.394 -6.026 5.962
Fe -4.595 -1.799 1.780
Fe -17.126 -6.704 6.633
In -0.047 -0.019 0.018
```

Results
The MP2020-corrected energy comes out at -7.262 eV/atom. The formation energy is -1622 meV/atom. The polymorph energy (0 for the lowest one) is 0.032 eV per atom. Its size of the total moment is 9.0 μB per cell. Its crystal system is trigonal.